The following is a PBE calculation of a relaxed ZrOsO3 crystal, from Materials Project.

Cell lengths 3.9263, 3.9263, 3.9263 Å; angles 90.00, 90.00, 90.00 degrees
Closest atoms and distances in Å follow each position.
Atoms (fractional coordinates):
Zr: 0.0000 0.0000 0.0000  12 O 2.78
Os: 0.5000 0.5000 0.5000  6 O 1.96
O: 0.5000 0.5000 0.0000  2 Os 1.96
O: 0.5000 0.0000 0.5000  2 Os 1.96
O: 0.0000 0.5000 0.5000  2 Os 1.96

Properties
space group = Pm-3m, No. 221
MP2020-corrected energy = -40.8 eV for the cell shown
calculated volume = 60.53 Å³ per cell
ΔE_f = -118.8 kJ per mole of atoms